# 1
Density functional theory data (PBE with a Hubbard U) for a relaxed CaMn2P2O10 crystal.

DFT formation energy in eV per atom: -2.441
Space-group type: Fddd
Total DFT energy (no corrections) in eV/atom: -7.14

Cell: 9.955 8.882 6.870 Å, 77.23 60.47 42.30°
Fractional positions:
Ca  0.250  0.250  0.250
Ca  0.000  0.000  0.000
Mn  0.625  0.625  0.125
Mn  0.625  0.125  0.625
Mn  0.625  0.625  0.625
Mn  0.125  0.625  0.625
P  0.792  0.792  0.208
P  0.458  0.458  0.042
P  0.208  0.208  0.792
P  0.042  0.042  0.458
O  0.975  0.327  0.007
O  0.417  0.417  0.583
O  0.896  0.074  0.389
O  0.243  0.559  0.275
O  0.327  0.975  0.691
O  0.354  0.176  0.861
O  0.833  0.833  0.667
O  0.583  0.583  0.417
O  0.667  0.667  0.833
O  0.275  0.923  0.243
O  0.691  0.007  0.327
O  0.559  0.243  0.923
O  0.007  0.691  0.975
O  0.074  0.896  0.641
O  0.609  0.861  0.176
O  0.389  0.641  0.896
O  0.861  0.609  0.354
O  0.641  0.389  0.074
O  0.923  0.275  0.559
O  0.176  0.354  0.609



# 2
Density functional theory data (PBE with a Hubbard U) for a relaxed HfMnO3 crystal.

DFT formation energy in eV per atom: -3.172
Space-group type: Pnma
Total DFT energy (no corrections) in eV/atom: -9.22

Cell: 5.411 5.607 7.907 Å, 90.00 90.00 90.00°
Fractional positions:
Hf  0.000  0.500  0.000
Hf  0.000  0.500  0.500
Hf  0.500  0.000  0.000
Hf  0.500  0.000  0.500
Mn  0.491  0.455  0.750
Mn  0.509  0.545  0.250
Mn  0.008  0.955  0.750
Mn  0.992  0.045  0.250
O  0.124  0.439  0.250
O  0.376  0.939  0.250
O  0.624  0.061  0.750
O  0.876  0.561  0.750
O  0.182  0.187  0.566
O  0.182  0.187  0.934
O  0.318  0.687  0.566
O  0.318  0.687  0.934
O  0.682  0.313  0.066
O  0.682  0.313  0.434
O  0.818  0.813  0.066
O  0.818  0.813  0.434



# 3
Density functional theory data (PBE with a Hubbard U) for a relaxed Li3FeP8O24 crystal.

DFT formation energy in eV per atom: -2.441
Space-group type: C2
Total DFT energy (no corrections) in eV/atom: -6.82

Cell: 9.772 9.772 10.029 Å, 43.50 43.50 49.94°
Fractional positions:
Li  0.474  0.983  0.775
Li  0.017  0.526  0.225
Li  0.054  0.946  0.000
Fe  0.952  0.048  0.500
P  0.757  0.269  0.209
P  0.294  0.320  0.456
P  0.263  0.737  0.282
P  0.680  0.706  0.544
P  0.713  0.695  0.047
P  0.731  0.243  0.791
P  0.305  0.287  0.953
P  0.263  0.737  0.718
O  0.849  0.082  0.910
O  0.286  0.801  0.081
O  0.822  0.652  0.129
O  0.868  0.733  0.322
O  0.470  0.717  0.234
O  0.228  0.510  0.474
O  0.087  0.864  0.401
O  0.490  0.772  0.526
O  0.631  0.808  0.639
O  0.813  0.258  0.579
O  0.136  0.913  0.599
O  0.267  0.132  0.678
O  0.698  0.464  0.724
O  0.283  0.530  0.766
O  0.192  0.369  0.361
O  0.735  0.876  0.819
O  0.199  0.714  0.919
O  0.348  0.178  0.871
O  0.498  0.224  0.961
O  0.918  0.151  0.090
O  0.776  0.502  0.039
O  0.536  0.302  0.276
O  0.124  0.265  0.181
O  0.742  0.187  0.421



# 4
Density functional theory data (PBE with a Hubbard U) for a relaxed MgV2Co2O8 crystal.

Excess energy over the best structure of this formula in the dataset in kJ/mol of formula units: 77
DFT formation energy in eV per atom: -2.085
Space-group type: Imm2
Total DFT energy (no corrections) in eV/atom: -6.81

Cell: 5.878 5.878 5.878 Å, 57.69 83.19 110.30°
Fractional positions:
Mg  0.515  0.750  0.235
V  0.160  0.250  0.090
V  0.875  0.750  0.875
Co  0.513  0.019  0.506
Co  0.974  0.481  0.506
O  0.818  0.050  0.232
O  0.726  0.502  0.271
O  0.283  0.985  0.232
O  0.219  0.450  0.232
O  0.787  0.542  0.755
O  0.726  0.998  0.776
O  0.283  0.515  0.701
O  0.203  0.958  0.755



# 5
Density functional theory data (PBE with a Hubbard U) for a relaxed SrCrSnSbO6 crystal.

DFT formation energy in eV per atom: -2.175
Space-group type: F-43m
Total DFT energy (no corrections) in eV/atom: -6.48

Cell: 5.658 5.658 5.658 Å, 60.00 60.00 60.00°
Fractional positions:
Sr  0.250  0.250  0.250
Cr  0.000  0.000  0.000
Sn  0.750  0.750  0.750
Sb  0.500  0.500  0.500
O  0.749  0.251  0.251
O  0.251  0.749  0.749
O  0.749  0.251  0.749
O  0.251  0.749  0.251
O  0.749  0.749  0.251
O  0.251  0.251  0.749



# 6
Density functional theory data (PBE with a Hubbard U) for a relaxed Li9Mn2Co5O16 crystal.

Excess energy over the best structure of this formula in the dataset in kJ/mol of formula units: 308
DFT formation energy in eV per atom: -1.764
Space-group type: Pm
Total DFT energy (no corrections) in eV/atom: -5.75

Cell: 2.879 9.750 10.353 Å, 81.33 90.00 90.00°
Fractional positions:
Li  0.500  0.992  0.243
Li  0.500  0.996  0.756
Li  0.000  0.747  0.359
Li  0.000  0.734  0.895
Li  0.500  0.503  0.491
Li  0.500  0.505  0.004
Li  0.000  0.259  0.125
Li  0.000  0.260  0.622
Li  0.500  0.751  0.127
Mn  0.000  0.993  0.011
Mn  0.000  0.001  0.500
Co  0.500  0.746  0.627
Co  0.000  0.519  0.230
Co  0.000  0.498  0.749
Co  0.500  0.259  0.373
Co  0.500  0.246  0.875
O  0.500  0.111  0.058
O  0.500  0.107  0.562
O  0.000  0.888  0.172
O  0.000  0.874  0.668
O  0.500  0.616  0.311
O  0.500  0.615  0.810
O  0.000  0.359  0.926
O  0.000  0.363  0.431
O  0.500  0.895  0.439
O  0.500  0.891  0.943
O  0.000  0.633  0.573
O  0.000  0.618  0.068
O  0.500  0.379  0.690
O  0.500  0.378  0.195
O  0.000  0.135  0.335
O  0.000  0.128  0.831



# 7
Density functional theory data (PBE with a Hubbard U) for a relaxed Co3P2H2O9 crystal.

DFT formation energy in eV per atom: -1.986
Space-group type: P2_1/c
Total DFT energy (no corrections) in eV/atom: -6.51

Cell: 4.926 8.795 17.074 Å, 83.95 90.00 90.00°
Fractional positions:
Co  0.713  0.430  0.348
Co  0.787  0.430  0.848
Co  0.295  0.667  0.442
Co  0.505  0.934  0.177
Co  0.795  0.333  0.058
Co  0.005  0.066  0.323
Co  0.995  0.934  0.677
Co  0.495  0.066  0.823
Co  0.705  0.333  0.558
Co  0.287  0.570  0.652
Co  0.213  0.570  0.152
Co  0.205  0.667  0.942
P  0.211  0.313  0.446
P  0.789  0.687  0.554
P  0.514  0.237  0.220
P  0.486  0.763  0.780
P  0.986  0.237  0.720
P  0.289  0.313  0.946
P  0.014  0.763  0.280
P  0.711  0.687  0.054
H  0.796  0.913  0.933
H  0.704  0.913  0.433
H  0.448  0.927  0.593
H  0.552  0.073  0.407
H  0.052  0.927  0.093
H  0.948  0.073  0.907
H  0.204  0.087  0.067
H  0.296  0.087  0.567
O  0.904  0.358  0.453
O  0.262  0.745  0.716
O  0.252  0.180  0.896
O  0.248  0.180  0.396
O  0.645  0.613  0.791
O  0.144  0.460  0.904
O  0.856  0.540  0.096
O  0.096  0.642  0.547
O  0.355  0.387  0.209
O  0.768  0.022  0.914
O  0.330  0.277  0.530
O  0.671  0.904  0.755
O  0.404  0.642  0.047
O  0.268  0.978  0.586
O  0.232  0.978  0.086
O  0.158  0.808  0.356
O  0.356  0.460  0.404
O  0.658  0.192  0.144
O  0.596  0.358  0.953
O  0.752  0.820  0.604
O  0.855  0.613  0.291
O  0.829  0.904  0.255
O  0.329  0.096  0.245
O  0.670  0.723  0.470
O  0.842  0.192  0.644
O  0.644  0.540  0.596
O  0.732  0.022  0.414
O  0.170  0.277  0.030
O  0.238  0.745  0.216
O  0.171  0.096  0.745
O  0.342  0.808  0.856
O  0.830  0.723  0.970
O  0.145  0.387  0.709
O  0.738  0.255  0.284
O  0.762  0.255  0.784
O  0.748  0.820  0.104



# 8
Density functional theory data (PBE with a Hubbard U) for a relaxed Li4Cr2C4SO16 crystal.

Excess energy over the best structure of this formula in the dataset in kJ/mol of formula units: 51
DFT formation energy in eV per atom: -2.060
Space-group type: P1
Total DFT energy (no corrections) in eV/atom: -6.96

Cell: 9.418 9.485 16.299 Å, 74.48 73.82 60.58°
Fractional positions:
Li  0.782  0.283  0.033
Li  0.418  0.919  0.170
Li  0.993  0.919  0.169
Li  0.419  0.492  0.169
Li  0.677  0.631  0.455
Li  0.136  0.187  0.459
Li  0.085  0.588  0.342
Li  0.919  0.410  0.673
Li  0.896  0.778  0.534
Li  0.698  0.219  0.455
Li  0.930  0.993  0.671
Li  0.632  0.706  0.956
Li  0.207  0.133  0.956
Li  0.485  0.433  0.663
Li  0.594  0.093  0.842
Li  0.206  0.706  0.956
Cr  0.001  0.500  0.000
Cr  0.749  0.751  0.249
Cr  0.250  0.249  0.250
Cr  0.500  0.001  0.500
Cr  0.749  0.250  0.250
Cr  0.753  0.749  0.750
Cr  0.251  0.250  0.750
Cr  0.252  0.751  0.750
C  0.074  0.207  0.138
C  0.705  0.572  0.140
C  0.080  0.575  0.144
C  0.891  0.397  0.327
C  0.425  0.927  0.356
C  0.608  0.105  0.175
C  0.427  0.289  0.360
C  0.794  0.927  0.358
C  0.579  0.706  0.640
C  0.206  0.075  0.640
C  0.582  0.073  0.643
C  0.393  0.896  0.827
C  0.924  0.428  0.857
C  0.109  0.607  0.675
C  0.927  0.791  0.860
C  0.293  0.429  0.858
S  0.313  0.813  0.062
S  0.812  0.312  0.563
S  0.178  0.687  0.438
S  0.688  0.188  0.938
O  0.409  0.652  0.029
O  0.151  0.907  0.030
O  0.410  0.909  0.031
O  0.280  0.782  0.159
O  0.775  0.521  0.065
O  0.939  0.192  0.148
O  0.126  0.277  0.065
O  0.641  0.490  0.201
O  0.696  0.706  0.151
O  0.157  0.146  0.201
O  0.869  0.273  0.327
O  0.027  0.626  0.071
O  0.503  0.850  0.290
O  0.465  0.118  0.177
O  0.767  0.542  0.329
O  0.215  0.442  0.155
O  0.290  0.062  0.351
O  0.737  0.964  0.176
O  0.038  0.376  0.329
O  0.997  0.662  0.207
O  0.907  0.153  0.529
O  0.650  0.408  0.530
O  0.487  0.869  0.426
O  0.624  0.236  0.171
O  0.344  0.360  0.296
O  0.806  0.788  0.351
O  0.909  0.408  0.532
O  0.779  0.280  0.659
O  0.444  0.693  0.650
O  0.276  0.027  0.566
O  0.369  0.217  0.430
O  0.850  0.008  0.293
O  0.632  0.777  0.566
O  0.143  0.991  0.701
O  0.566  0.290  0.353
O  0.725  0.980  0.432
O  0.201  0.717  0.341
O  0.071  0.596  0.467
O  0.192  0.210  0.653
O  0.665  0.642  0.701
O  0.529  0.127  0.570
O  0.372  0.772  0.827
O  0.074  0.844  0.475
O  0.336  0.591  0.469
O  0.965  0.623  0.670
O  0.005  0.354  0.790
O  0.719  0.939  0.651
O  0.270  0.041  0.829
O  0.236  0.465  0.677
O  0.791  0.564  0.851
O  0.540  0.874  0.830
O  0.501  0.156  0.707
O  0.119  0.735  0.678
O  0.978  0.365  0.930
O  0.842  0.863  0.797
O  0.307  0.288  0.852
O  0.870  0.717  0.930
O  0.355  0.506  0.793
O  0.065  0.794  0.852
O  0.216  0.489  0.929
O  0.591  0.091  0.966
O  0.717  0.215  0.841
O  0.847  0.097  0.972
O  0.597  0.347  0.972



# 9
Density functional theory data (PBE with a Hubbard U) for a relaxed FeSO8 crystal.

Excess energy over the best structure of this formula in the dataset in kJ/mol of formula units: 0
DFT formation energy in eV per atom: -0.708
Space-group type: P-1
Total DFT energy (no corrections) in eV/atom: -5.57

Cell: 6.766 8.353 12.163 Å, 101.09 90.70 87.71°
Fractional positions:
Fe  0.828  0.097  0.074
Fe  0.172  0.903  0.926
Fe  0.830  0.117  0.794
Fe  0.170  0.883  0.206
S  0.931  0.185  0.351
S  0.069  0.815  0.649
S  0.553  0.765  0.061
S  0.447  0.235  0.939
O  0.971  0.990  0.673
O  0.029  0.010  0.327
O  0.920  0.698  0.609
O  0.080  0.302  0.391
O  0.846  0.213  0.238
O  0.154  0.787  0.762
O  0.765  0.183  0.424
O  0.235  0.817  0.576
O  0.564  0.200  0.038
O  0.436  0.800  0.962
O  0.598  0.245  0.846
O  0.402  0.755  0.154
O  0.670  0.616  0.037
O  0.330  0.384  0.963
O  0.674  0.909  0.109
O  0.326  0.091  0.891
O  0.904  0.020  0.912
O  0.096  0.980  0.088
O  0.619  0.532  0.288
O  0.381  0.468  0.712
O  0.546  0.057  0.614
O  0.454  0.943  0.386
O  0.947  0.336  0.754
O  0.053  0.664  0.246
O  0.712  0.651  0.328
O  0.288  0.349  0.672
O  0.963  0.309  0.071
O  0.037  0.691  0.929
O  0.845  0.465  0.763
O  0.155  0.535  0.237
O  0.557  0.956  0.677
O  0.443  0.044  0.323



Among the records above, which one has the highest DFT formation energy? FeSO8